Arrangement one

36
Lattice="8.5826 0.0000 0.0000 -0.0135 8.5971 0.0000 -1.9929 -3.7228 11.5363" Properties=species:S:1:pos:R:3 comment="La2SiI2O4 | the Materials Project database | GGA-PBE | relaxed" magmom_total_mub_per_cell=0.0 pbc="T T T"
La 0.5442 1.2778 3.6131
La 0.6228 -1.7551 7.1881
La 1.7449 5.5732 3.6149
La 1.6703 2.5476 7.2092
La 4.9058 2.3267 4.3271
La 4.8312 -0.6988 7.9214
La 5.9534 6.6295 4.3482
La 6.0320 3.5966 7.9232
Si -0.5375 4.2416 5.4697
Si 2.8203 -0.0498 5.4747
Si 3.7558 4.9241 6.0615
Si 7.1137 0.6327 6.0666
I -1.5775 -2.3874 9.8054
I -0.3478 1.7154 9.6676
I 2.7034 2.9772 1.7240
I 3.9300 7.4997 1.9045
I 2.6461 -2.6253 9.6318
I 3.8728 1.8971 9.8122
I 6.9239 3.1590 1.8687
I 8.1536 7.2617 1.7308
O -0.3817 5.8010 4.9618
O -0.2380 4.1910 7.1015
O 0.0879 1.0834 6.2045
O 0.6307 3.4221 4.6728
O 1.6498 -0.8776 4.6886
O 2.1979 5.3754 6.1904
O 2.6643 1.5049 4.9563
O 2.5202 -0.0963 7.1071
O 4.0560 4.9707 4.4292
O 3.9118 3.3694 6.5800
O 4.3783 -0.5011 5.3459
O 4.9264 5.7519 6.8477
O 5.9454 1.4523 6.8635
O 6.4882 3.7910 5.3318
O 6.8142 0.6834 4.4348
O 6.9578 -0.9266 6.5745

Arrangement two

72
Lattice="8.5645 0.0000 0.0000 0.0000 8.6148 0.0000 -1.0505 0.0000 22.6477" Properties=species:S:1:pos:R:3 comment="La2SiI2O4 | the Materials Project database | GGA-PBE | relaxed" magmom_total_mub_per_cell=0.3 pbc="T T T"
La 0.7027 0.5428 7.8233
La 0.1774 3.7646 19.1471
La 1.7397 4.9376 7.0721
La 1.2144 7.9846 18.3959
La 2.0077 1.6710 4.2429
La 1.4824 2.6364 15.5667
La 3.0491 6.0579 3.5102
La 2.5239 6.8643 14.8340
La 4.9902 1.7505 7.8136
La 4.4649 2.5569 19.1374
La 6.0316 5.9784 7.0809
La 5.5064 6.9438 18.4047
La 6.2996 0.6302 4.2517
La 5.7744 3.6772 15.5756
La 7.3366 4.8502 3.5006
La 6.8114 8.0720 14.8244
Si -0.4643 5.7801 16.6961
Si 0.0610 7.1421 5.3722
Si 3.1611 4.8520 17.2699
Si 3.6863 8.0702 5.9461
Si 3.8277 0.5446 16.7016
Si 4.3530 3.7628 5.3778
Si 7.4531 1.4727 17.2754
Si 7.9783 2.8347 5.9516
I 0.5558 4.6880 13.1465
I 1.0810 8.2342 1.8226
I 0.8317 0.4206 12.9519
I 1.3569 3.8868 1.6281
I 1.8946 1.5931 21.0187
I 2.4198 2.7143 9.6948
I 2.1179 5.9729 20.8407
I 2.6431 6.9493 9.5169
I 4.8709 1.6655 13.1307
I 5.3962 2.6419 1.8069
I 5.0943 5.9005 12.9528
I 5.6195 7.0217 1.6290
I 6.1571 4.7280 21.0195
I 6.6823 8.1942 9.6957
I 6.4331 0.3806 20.8250
I 6.9583 3.9268 9.5012
O -0.4352 6.0685 18.3328
O 0.0901 6.8537 7.0089
O 0.4958 0.0878 5.2201
O -0.0295 4.2196 16.5439
O 0.9147 5.9605 4.6277
O 0.3895 6.9617 15.9515
O 0.4370 1.6523 17.8093
O 0.9622 2.6551 6.4855
O 2.2687 0.3591 16.1990
O 2.7940 3.9483 4.8752
O 2.8311 0.5994 6.7428
O 2.3059 3.7080 18.0666
O 2.7660 6.4250 17.4114
O 3.2913 6.4972 6.0876
O 3.0901 4.5488 15.6389
O 3.6153 8.3734 4.3151
O 3.8987 0.2414 18.3325
O 4.4239 4.0660 7.0087
O 4.2228 2.1176 16.5600
O 4.7480 2.1898 5.2362
O 5.2082 4.9068 4.5810
O 4.6829 8.0154 15.9049
O 4.7201 4.6665 17.7724
O 5.2453 8.2557 6.4486
O 6.5518 5.9597 16.1621
O 7.0771 6.9625 4.8383
O 7.1245 1.6531 6.6962
O 6.5993 2.6543 18.0200
O 7.5435 4.3952 6.1037
O 7.0183 8.5270 17.4275
O 7.4240 1.7611 15.6387
O 7.9492 2.5463 4.3149

Of them, arrangement one has the lowest stability.